# 1
CePr3: relaxed, PBE-GGA.

CIF file:
```
data_CePr3
_chemical_formula_sum 'Ce1 Pr3'
_symmetry_space_group_name_H-M 'P m -3 m'
_symmetry_Int_Tables_number 221
_symmetry_space_group_name_Hall '-P 4 2 3'
_cell_length_a 5.214
_cell_length_b 5.214
_cell_length_c 5.214
_cell_angle_alpha 90.00
_cell_angle_beta 90.00
_cell_angle_gamma 90.00
loop_
_atom_site_label
_atom_site_fract_x
_atom_site_fract_y
_atom_site_fract_z
Ce1 0.000 0.000 0.000
Pr1 0.000 0.500 0.500
```

Results
The value obtained for the calculated volume is 141.7 Å³/f.u. The energy comes out at -4.9830 eV per atom. For the formation energy, the calculation gives 0.0859 eV/atom.

---

# 2
CePr2S4: relaxed, PBE-GGA.

CIF file:
```
data_CePr2S4
_chemical_formula_sum 'Ce4 Pr8 S16'
_symmetry_space_group_name_H-M 'I -4 2 d'
_symmetry_Int_Tables_number 122
_symmetry_space_group_name_Hall 'I -4 2bw'
_cell_length_a 8.642
_cell_length_b 8.642
_cell_length_c 8.646
_cell_angle_alpha 90.00
_cell_angle_beta 90.00
_cell_angle_gamma 90.00
loop_
_atom_site_label
_atom_site_fract_x
_atom_site_fract_y
_atom_site_fract_z
Ce1 0.000 0.000 0.000
Pr1 0.121 0.250 0.625
S1 0.074 0.176 0.299
```

Results
The value obtained for the calculated volume is 161.4 Å³/f.u. The energy comes out at -6.5929 eV per atom. For the MP2020-corrected energy, the calculation gives -6.88 eV per atom. For the formation energy, the calculation gives -2.3031 eV/atom.

---

# 3
Ce7Pt3: relaxed, PBE-GGA.

CIF file:
```
data_Ce7Pt3
_chemical_formula_sum 'Ce14 Pt6'
_symmetry_space_group_name_H-M 'P 63 m c'
_symmetry_Int_Tables_number 186
_symmetry_space_group_name_Hall 'P 6c -2c'
_cell_length_a 9.4890
_cell_length_b 9.4890
_cell_length_c 6.2251
_cell_angle_alpha 90.00
_cell_angle_beta 90.00
_cell_angle_gamma 120.00
loop_
_atom_site_label
_atom_site_fract_x
_atom_site_fract_y
_atom_site_fract_z
Ce1 0.1335 0.2671 0.0000
Ce2 0.1994 0.3989 0.5569
Ce3 0.3333 0.6667 0.0474
Pt1 0.0176 0.5088 0.2893
```

Results
The value obtained for the calculated volume is 242.7 Å³/f.u. The energy comes out at -6.4766 eV per atom. For the formation energy, the calculation gives -0.5021 eV/atom.

---

# 4
CePt: relaxed, PBE-GGA.

CIF file:
```
data_CePt
_chemical_formula_sum 'Ce4 Pt4'
_symmetry_space_group_name_H-M 'C m c m'
_symmetry_Int_Tables_number 63
_symmetry_space_group_name_Hall '-C 2c 2'
_cell_length_a 3.855
_cell_length_b 11.098
_cell_length_c 4.428
_cell_angle_alpha 90.00
_cell_angle_beta 90.00
_cell_angle_gamma 90.00
loop_
_atom_site_label
_atom_site_fract_x
_atom_site_fract_y
_atom_site_fract_z
Ce1 0.000 0.136 0.250
Pt1 0.000 0.405 0.250
```

Results
The value obtained for the calculated volume is 47.4 Å³/f.u. The energy comes out at -7.0867 eV per atom. For the formation energy, the calculation gives -1.0846 eV/atom.